VASP calculation (PBE with a Hubbard U) on a relaxed structure of Li3MnV3O8.

```
data_Li3MnV3O8
_chemical_formula_sum 'Li6 Mn2 V6 O16'
_space_group_name_H-M_alt 'P -1'
_space_group_IT_number 2
_space_group_name_Hall '-P 1'
_cell_length_a 5.965
_cell_length_b 5.973
_cell_length_c 10.302
_cell_angle_alpha 89.97
_cell_angle_beta 73.28
_cell_angle_gamma 60.12
loop_
_atom_site_label
_atom_site_fract_x
_atom_site_fract_y
_atom_site_fract_z
_atom_site_occupancy
Li1 0.001 0.252 0.252 1
Li2 0.003 0.752 0.248 1
Li3 0.498 0.750 0.752 1
Mn1 0.497 0.246 0.751 1
V1 0.000 0.000 0.500 1
V2 0.000 0.500 0.000 1
V3 0.500 0.000 0.000 1
V4 0.500 0.000 0.500 1
V5 0.500 0.500 0.000 1
V6 0.500 0.500 0.500 1
O1 0.254 0.867 0.614 1
O2 0.256 0.376 0.115 1
O3 0.265 0.140 0.873 1
O4 0.272 0.091 0.372 1
O5 0.272 0.645 0.371 1
O6 0.276 0.585 0.871 1
O7 0.281 0.355 0.629 1
O8 0.283 0.864 0.129 1
```

Properties
The crystal system is triclinic. The value obtained for the magnetic moment is 0.60 μB per atom. As for the calculated volume: 300.3 Å³/cell. The corrected total energy (MP2020 scheme) comes out at -0.5749 Ry per atom. Its formation enthalpy at 0 K is -2374 meV/atom. The calculation puts the final energy at -7.00 eV per atom. For the relative energy among the computed polymorphs, the calculation gives 9 meV per atom.

VASP calculation (PBE with a Hubbard U) on a relaxed structure of Fe4P7O24.

```
data_Fe4P7O24
_chemical_formula_sum 'Fe8 P14 O48'
_space_group_name_H-M_alt 'P -1'
_space_group_IT_number 2
_space_group_name_Hall '-P 1'
_cell_length_a 10.286
_cell_length_b 10.362
_cell_length_c 10.772
_cell_angle_alpha 108.75
_cell_angle_beta 111.51
_cell_angle_gamma 104.94
loop_
_atom_site_label
_atom_site_fract_x
_atom_site_fract_y
_atom_site_fract_z
_atom_site_occupancy
Fe1 0.000 0.099 0.260 1
Fe2 0.011 0.664 0.885 1
Fe3 0.488 0.826 0.413 1
Fe4 0.499 0.619 0.923 1
P1 0.229 0.177 0.115 1
P2 0.240 0.965 0.242 1
P3 0.249 0.608 0.476 1
P4 0.251 0.540 0.049 1
P5 0.270 0.780 0.771 1
P6 0.305 0.059 0.739 1
P7 0.307 0.378 0.567 1
O1 0.107 0.501 0.326 1
O2 0.119 0.217 0.175 1
O3 0.129 0.985 0.666 1
O4 0.130 0.996 0.298 1
O5 0.135 0.783 0.800 1
O6 0.136 0.277 0.460 1
O7 0.137 0.411 0.051 1
O8 0.139 0.061 0.952 1
O9 0.153 0.568 0.923 1
O10 0.160 0.824 0.093 1
O11 0.189 0.662 0.595 1
O12 0.314 0.104 0.214 1
O13 0.340 0.678 0.205 1
O14 0.343 0.443 0.730 1
O15 0.348 0.523 0.533 1
O16 0.353 0.749 0.489 1
O17 0.358 0.072 0.628 1
O18 0.363 0.316 0.155 1
O19 0.363 0.941 0.791 1
O20 0.374 0.500 0.011 1
O21 0.380 0.208 0.880 1
O22 0.382 0.741 0.868 1
O23 0.382 0.975 0.370 1
O24 0.413 0.307 0.540 1
```

Properties
The crystal system is triclinic. The value obtained for the magnetic moment is 0.60 μB per atom. As for the calculated volume: 915.0 Å³/cell. The corrected total energy (MP2020 scheme) comes out at -0.5739 Ry per atom. Its formation enthalpy at 0 K is -2365 meV/atom. The calculation puts the final energy at -7.08 eV per atom.

VASP calculation (PBE with a Hubbard U) on a relaxed structure of MgMn3Cu2O8.

```
data_MgMn3Cu2O8
_chemical_formula_sum 'Mg1 Mn3 Cu2 O8'
_space_group_name_H-M_alt 'P -1'
_space_group_IT_number 2
_space_group_name_Hall '-P 1'
_cell_length_a 5.356
_cell_length_b 5.715
_cell_length_c 5.759
_cell_angle_alpha 118.65
_cell_angle_beta 95.58
_cell_angle_gamma 91.27
loop_
_atom_site_label
_atom_site_fract_x
_atom_site_fract_y
_atom_site_fract_z
_atom_site_occupancy
Mg1 0.000 0.000 0.000 1
Mn1 0.011 0.263 0.540 1
Mn2 0.500 0.500 0.500 1
Cu1 0.473 0.772 0.053 1
O1 0.128 0.917 0.294 1
O2 0.154 0.395 0.311 1
O3 0.331 0.883 0.799 1
O4 0.371 0.407 0.765 1
```

Properties
The crystal system is triclinic. The value obtained for the magnetic moment is 0.78 μB per atom. As for the calculated volume: 153.5 Å³/cell. The corrected total energy (MP2020 scheme) comes out at -0.5317 Ry per atom. Its formation enthalpy at 0 K is -1744 meV/atom. The calculation puts the final energy at -6.48 eV per atom. For the relative energy among the computed polymorphs, the calculation gives 84 meV per atom.

VASP calculation (PBE with a Hubbard U) on a relaxed structure of LiVSO4F3.

```
data_LiVSO4F3
_chemical_formula_sum 'Li4 V4 S4 O16 F12'
_space_group_name_H-M_alt 'P 1 c 1'
_space_group_IT_number 7
_space_group_name_Hall 'P -2yc'
_cell_length_a 7.071
_cell_length_b 10.338
_cell_length_c 8.057
_cell_angle_alpha 90.00
_cell_angle_beta 90.56
_cell_angle_gamma 90.00
loop_
_atom_site_label
_atom_site_fract_x
_atom_site_fract_y
_atom_site_fract_z
_atom_site_occupancy
Li1 0.000 0.021 0.000 1
Li2 0.867 0.477 0.994 1
V1 0.192 0.256 0.566 1
V2 0.692 0.243 0.565 1
S1 0.447 0.251 0.892 1
S2 0.939 0.251 0.234 1
O1 0.011 0.357 0.135 1
O2 0.092 0.193 0.347 1
O3 0.295 0.312 0.774 1
O4 0.356 0.152 0.986 1
O5 0.545 0.354 0.978 1
O6 0.592 0.187 0.772 1
O7 0.790 0.310 0.349 1
O8 0.862 0.144 0.138 1
F1 0.135 0.418 0.495 1
F2 0.190 0.083 0.620 1
F3 0.441 0.251 0.467 1
F4 0.697 0.415 0.626 1
F5 0.746 0.082 0.490 1
F6 0.943 0.247 0.673 1
```

Properties
The crystal system is monoclinic. The value obtained for the magnetic moment is 0.10 μB per atom. As for the calculated volume: 589.0 Å³/cell. The corrected total energy (MP2020 scheme) comes out at -0.4779 Ry per atom. Its formation enthalpy at 0 K is -2435 meV/atom. The calculation puts the final energy at -5.92 eV per atom. For the relative energy among the computed polymorphs, the calculation gives 4 meV per atom.

VASP calculation (PBE with a Hubbard U) on a relaxed structure of NaV6O14.

```
data_NaV6O14
_chemical_formula_sum 'Na2 V12 O28'
_space_group_name_H-M_alt 'C 1 m 1'
_space_group_IT_number 8
_space_group_name_Hall 'C -2y'
_cell_length_a 16.133
_cell_length_b 3.638
_cell_length_c 10.364
_cell_angle_alpha 90.00
_cell_angle_beta 105.28
_cell_angle_gamma 90.00
loop_
_atom_site_label
_atom_site_fract_x
_atom_site_fract_y
_atom_site_fract_z
_atom_site_occupancy
Na1 0.000 0.000 0.000 1
V1 0.139 0.000 0.722 1
V2 0.155 0.500 0.482 1
V3 0.201 0.500 0.164 1
V4 0.287 0.000 0.003 1
V5 0.337 0.000 0.689 1
V6 0.350 0.500 0.449 1
O1 0.064 0.500 0.373 1
O2 0.095 0.500 0.108 1
O3 0.097 0.000 0.851 1
O4 0.119 0.500 0.650 1
O5 0.182 0.000 0.537 1
O6 0.229 0.500 0.366 1
O7 0.244 0.000 0.161 1
O8 0.253 0.500 0.006 1
O9 0.261 0.000 0.812 1
O10 0.313 0.500 0.644 1
O11 0.374 0.000 0.523 1
O12 0.389 0.500 0.320 1
O13 0.391 0.000 0.048 1
O14 0.427 0.000 0.805 1
```

Properties
The crystal system is monoclinic. The value obtained for the magnetic moment is 0.14 μB per atom. As for the calculated volume: 586.7 Å³/cell. The corrected total energy (MP2020 scheme) comes out at -0.6073 Ry per atom. Its formation enthalpy at 0 K is -2306 meV/atom. The calculation puts the final energy at -7.32 eV per atom.

VASP calculation (PBE with a Hubbard U) on a relaxed structure of Li11Fe12B12O36.

```
data_Li11Fe12B12O36
_chemical_formula_sum 'Li11 Fe12 B12 O36'
_space_group_name_H-M_alt 'P 1'
_space_group_IT_number 1
_space_group_name_Hall 'P 1'
_cell_length_a 8.781
_cell_length_b 8.792
_cell_length_c 10.340
_cell_angle_alpha 99.11
_cell_angle_beta 99.14
_cell_angle_gamma 107.79
loop_
_atom_site_label
_atom_site_fract_x
_atom_site_fract_y
_atom_site_fract_z
_atom_site_occupancy
Li1 0.000 0.000 0.000 1
Li2 0.027 0.445 0.767 1
Li3 0.161 0.889 0.479 1
Li4 0.250 0.248 0.255 1
Li5 0.277 0.694 0.014 1
Li6 0.501 0.501 0.502 1
Li7 0.530 0.946 0.264 1
Li8 0.657 0.386 0.976 1
Li9 0.747 0.747 0.751 1
Li10 0.779 0.197 0.514 1
Li11 0.909 0.638 0.228 1
Fe1 0.021 0.379 0.051 1
Fe2 0.127 0.835 0.773 1
Fe3 0.169 0.244 0.548 1
Fe4 0.275 0.629 0.301 1
Fe5 0.376 0.080 0.020 1
Fe6 0.404 0.499 0.797 1
Fe7 0.524 0.885 0.552 1
Fe8 0.626 0.332 0.273 1
Fe9 0.666 0.747 0.046 1
Fe10 0.765 0.129 0.798 1
Fe11 0.875 0.583 0.522 1
Fe12 0.916 0.000 0.297 1
B1 0.145 0.194 0.836 1
B2 0.187 0.902 0.206 1
B3 0.231 0.610 0.587 1
B4 0.394 0.439 0.079 1
B5 0.436 0.153 0.451 1
B6 0.476 0.848 0.831 1
B7 0.645 0.695 0.331 1
B8 0.686 0.410 0.707 1
B9 0.728 0.110 0.081 1
B10 0.896 0.944 0.582 1
B11 0.937 0.653 0.956 1
B12 0.981 0.362 0.333 1
O1 0.015 0.184 0.898 1
O2 0.019 0.478 0.255 1
O3 0.042 0.562 0.952 1
O4 0.065 0.865 0.279 1
O5 0.071 0.258 0.345 1
O6 0.104 0.599 0.654 1
O7 0.190 0.319 0.764 1
O8 0.204 0.028 0.138 1
O9 0.227 0.086 0.845 1
O10 0.267 0.720 0.506 1
O11 0.273 0.429 0.151 1
O12 0.291 0.810 0.200 1
O13 0.308 0.111 0.513 1
O14 0.327 0.508 0.606 1
O15 0.353 0.844 0.901 1
O16 0.421 0.552 0.995 1
O17 0.458 0.283 0.386 1
O18 0.490 0.341 0.086 1
O19 0.522 0.680 0.403 1
O20 0.525 0.962 0.757 1
O21 0.542 0.063 0.448 1
O22 0.554 0.728 0.836 1
O23 0.572 0.391 0.787 1
O24 0.601 0.098 0.149 1
O25 0.675 0.814 0.255 1
O26 0.703 0.529 0.631 1
O27 0.738 0.593 0.335 1
O28 0.766 0.228 0.006 1
O29 0.773 0.928 0.652 1
O30 0.788 0.315 0.702 1
O31 0.816 0.003 0.089 1
O32 0.820 0.619 0.034 1
O33 0.854 0.351 0.400 1
O34 0.928 0.066 0.508 1
O35 0.949 0.775 0.884 1
O36 0.989 0.842 0.584 1
```

Properties
The crystal system is triclinic. The value obtained for the magnetic moment is 0.69 μB per atom. As for the calculated volume: 732.1 Å³/cell. The corrected total energy (MP2020 scheme) comes out at -0.5641 Ry per atom. Its formation enthalpy at 0 K is -2310 meV/atom. The calculation puts the final energy at -6.95 eV per atom. For the relative energy among the computed polymorphs, the calculation gives 8 meV per atom.

VASP calculation (PBE with a Hubbard U) on a relaxed structure of LiNi2O4.

```
data_LiNi2O4
_chemical_formula_sum 'Li8 Ni16 O32'
_space_group_name_H-M_alt 'P 43 3 2'
_space_group_IT_number 212
_space_group_name_Hall 'P 4acd 2ab 3'
_cell_length_a 8.113
_cell_length_b 8.113
_cell_length_c 8.113
_cell_angle_alpha 90.00
_cell_angle_beta 90.00
_cell_angle_gamma 90.00
loop_
_atom_site_label
_atom_site_fract_x
_atom_site_fract_y
_atom_site_fract_z
_atom_site_occupancy
Li1 0.006 0.006 0.006 1
Ni1 0.116 0.134 0.625 1
Ni2 0.125 0.875 0.375 1
O1 0.095 0.127 0.395 1
O2 0.117 0.617 0.883 1
```

Properties
The crystal system is cubic. The value obtained for the magnetic moment is 0.14 μB per atom. As for the calculated volume: 534.0 Å³/cell. The corrected total energy (MP2020 scheme) comes out at -0.4386 Ry per atom. Its formation enthalpy at 0 K is -1216 meV/atom. The calculation puts the final energy at -4.85 eV per atom. For the relative energy among the computed polymorphs, the calculation gives 0 meV per atom.

VASP calculation (PBE with a Hubbard U) on a relaxed structure of Rb2CoO3.

```
data_Rb2CoO3
_chemical_formula_sum 'Rb16 Co8 O24'
_space_group_name_H-M_alt 'C 1 m 1'
_space_group_IT_number 8
_space_group_name_Hall 'C -2y'
_cell_length_a 13.100
_cell_length_b 10.377
_cell_length_c 7.396
_cell_angle_alpha 90.00
_cell_angle_beta 124.27
_cell_angle_gamma 90.00
loop_
_atom_site_label
_atom_site_fract_x
_atom_site_fract_y
_atom_site_fract_z
_atom_site_occupancy
Rb1 0.000 0.160 0.000 1
Rb2 0.249 0.161 0.937 1
Rb3 0.251 0.338 0.440 1
Rb4 0.499 0.161 0.502 1
Co1 0.003 0.000 0.421 1
Co2 0.005 0.500 0.931 1
Co3 0.253 0.000 0.523 1
Co4 0.254 0.500 0.024 1
O1 0.006 0.000 0.667 1
O2 0.008 0.500 0.174 1
O3 0.126 0.117 0.468 1
O4 0.129 0.381 0.968 1
O5 0.255 0.000 0.282 1
O6 0.257 0.500 0.785 1
O7 0.375 0.119 0.720 1
O8 0.377 0.383 0.224 1
```

Properties
The crystal system is monoclinic. The value obtained for the magnetic moment is 0.50 μB per atom. As for the calculated volume: 830.9 Å³/cell. The corrected total energy (MP2020 scheme) comes out at -0.3998 Ry per atom. Its formation enthalpy at 0 K is -1454 meV/atom. The calculation puts the final energy at -4.82 eV per atom. For the relative energy among the computed polymorphs, the calculation gives 10 meV per atom.

VASP calculation (PBE with a Hubbard U) on a relaxed structure of Ti3CrSb2P6O24.

```
data_Ti3CrSb2P6O24
_chemical_formula_sum 'Ti9 Cr3 Sb6 P18 O72'
_space_group_name_H-M_alt 'R 3'
_space_group_IT_number 146
_space_group_name_Hall 'R 3'
_cell_length_a 8.6472
_cell_length_b 8.6472
_cell_length_c 21.9253
_cell_angle_alpha 90.00
_cell_angle_beta 90.00
_cell_angle_gamma 120.00
loop_
_atom_site_label
_atom_site_fract_x
_atom_site_fract_y
_atom_site_fract_z
_atom_site_occupancy
Ti1 0.0000 0.0000 0.0000 1
Ti2 0.0000 0.0000 0.2040 1
Ti3 0.0000 0.0000 0.4999 1
Cr1 0.0000 0.0000 0.7058 1
Sb1 0.0000 0.0000 0.3503 1
Sb2 0.0000 0.0000 0.8516 1
P1 0.9999 0.7088 0.1024 1
P2 0.0440 0.3766 0.2698 1
O1 0.0062 0.1978 0.5438 1
O2 0.0057 0.8087 0.0441 1
O3 0.0193 0.1835 0.2688 1
O4 0.0214 0.8359 0.7712 1
O5 0.1396 0.4637 0.3278 1
O6 0.1427 0.6720 0.8272 1
O7 0.1680 0.4818 0.6011 1
O8 0.1686 0.6876 0.1020 1
```

Properties
The crystal system is trigonal. The value obtained for the magnetic moment is 0.17 μB per atom. As for the calculated volume: 1419.8 Å³/cell. The corrected total energy (MP2020 scheme) comes out at -0.5898 Ry per atom. Its formation enthalpy at 0 K is -2668 meV/atom. The calculation puts the final energy at -7.51 eV per atom.

VASP calculation (PBE with a Hubbard U) on a relaxed structure of Li2VCrO4.

```
data_Li2VCrO4
_chemical_formula_sum 'Li8 V4 Cr4 O16'
_space_group_name_H-M_alt 'C 1 2/m 1'
_space_group_IT_number 12
_space_group_name_Hall '-C 2y'
_cell_length_a 19.580
_cell_length_b 2.971
_cell_length_c 5.224
_cell_angle_alpha 90.00
_cell_angle_beta 95.62
_cell_angle_gamma 90.00
loop_
_atom_site_label
_atom_site_fract_x
_atom_site_fract_y
_atom_site_fract_z
_atom_site_occupancy
Li1 0.000 0.000 0.000 1
Li2 0.000 0.500 0.500 1
Li3 0.250 0.000 0.746 1
V1 0.125 0.500 0.875 1
Cr1 0.125 0.000 0.375 1
O1 0.068 0.000 0.687 1
O2 0.068 0.500 0.193 1
O3 0.182 0.000 0.063 1
O4 0.182 0.500 0.556 1
```

Properties
The crystal system is monoclinic. The value obtained for the magnetic moment is 0.13 μB per atom. As for the calculated volume: 302.4 Å³/cell. The corrected total energy (MP2020 scheme) comes out at -0.5688 Ry per atom. Its formation enthalpy at 0 K is -2446 meV/atom. The calculation puts the final energy at -6.93 eV per atom. For the relative energy among the computed polymorphs, the calculation gives 3 meV per atom.